[1]
{"formula": "SrMgIn3", "functional": "r²SCAN", "state": "optimized geometry", "lattice_angstrom": [[-1.146, -4.150, 1.902], [3.143, -2.140, -2.774], [3.441, 3.942, 4.852]], "species": ["Sr", "Mg", "In", "In", "In"], "frac_coords": [[0.000, 0.000, 0.000], [0.250, 0.750, 0.500], [0.389, 0.389, 0.778], [0.611, 0.611, 0.222], [0.750, 0.250, 0.500]], "sg": "I-4m2"}

[2]
{"formula": "GdDyIr2", "functional": "r²SCAN", "state": "optimized geometry", "lattice_angstrom": [[0.000, 3.432, 3.432], [3.432, 0.000, 3.432], [3.432, 3.432, 0.000]], "species": ["Gd", "Dy", "Ir", "Ir"], "frac_coords": [[0.000, 0.000, 0.000], [0.500, 0.500, 0.500], [0.250, 0.250, 0.250], [0.750, 0.750, 0.750]], "sg": "Fm-3m"}

[3]
{"formula": "RbHgSbSe3", "functional": "r²SCAN", "state": "optimized geometry", "lattice_angstrom": [[11.424, 0.000, 0.000], [0.000, 7.897, 0.024], [0.000, 2.511, 8.638]], "species": ["Rb", "Rb", "Rb", "Rb", "Hg", "Hg", "Hg", "Hg", "Sb", "Sb", "Sb", "Sb", "Se", "Se", "Se", "Se", "Se", "Se", "Se", "Se", "Se", "Se", "Se", "Se"], "frac_coords": [[0.243, 0.016, 0.621], [0.257, 0.016, 0.121], [0.743, 0.984, 0.879], [0.757, 0.984, 0.379], [0.250, 0.590, 0.478], [0.750, 0.410, 0.022], [0.750, 0.410, 0.522], [0.250, 0.590, 0.978], [0.500, 0.436, 0.267], [0.500, 0.564, 0.733], [0.000, 0.436, 0.767], [0.000, 0.564, 0.233], [0.447, 0.771, 0.461], [0.947, 0.229, 0.039], [0.553, 0.229, 0.539], [0.053, 0.771, 0.961], [0.053, 0.772, 0.404], [0.553, 0.228, 0.096], [0.947, 0.228, 0.596], [0.225, 0.370, 0.783], [0.275, 0.370, 0.283], [0.775, 0.630, 0.217], [0.725, 0.630, 0.717], [0.447, 0.772, 0.904]], "sg": "P2_1/c"}

Formation energy from the elements readings, ordered: -2.2 -3.5 -3.8 eV per formula unit